1.
## ErAl7Au3 (GGA-PBE)

Data for an optimized crystal structure of ErAl7Au3.

## Properties
Crystal system   trigonal

The structure in CIF format:
```
data_ErAl7Au3
_symmetry_space_group_name_H-M 'R -3 c'
_symmetry_Int_Tables_number 167
_symmetry_space_group_name_Hall '-R 3 2"c'
_cell_length_a 8.0865
_cell_length_b 8.0865
_cell_length_c 21.1232
_cell_angle_alpha 90.00
_cell_angle_beta 90.00
_cell_angle_gamma 120.00
loop_
_atom_site_label
_atom_site_type_symbol
_atom_site_fract_x
_atom_site_fract_y
_atom_site_fract_z
Er1 Er 0.0000 0.0000 0.0000
Al1 Al 0.0000 0.0000 0.2500
Al2 Al 0.0104 0.2066 0.1368
Au1 Au 0.0000 0.3245 0.2500
```

=====

2.
## Be2P2PbO8 (GGA-PBE)

Data for an optimized crystal structure of Be2P2PbO8.

## Properties
Magnetic moment   0.000 μB per atom
Crystal system   monoclinic

The structure in CIF format:
```
data_Be2P2PbO8
_symmetry_space_group_name_H-M 'P 1 21/c 1'
_symmetry_Int_Tables_number 14
_cell_length_a 8.1788
_cell_length_b 9.1250
_cell_length_c 8.4939
_cell_angle_alpha 90.00
_cell_angle_beta 90.11
_cell_angle_gamma 90.00
loop_
_symmetry_equiv_pos_as_xyz
'x,y,z'
'-x,-y,-z'
'-x,y+1/2,-z+1/2'
'x,-y+1/2,z+1/2'
loop_
_atom_site_label
_atom_site_type_symbol
_atom_site_fract_x
_atom_site_fract_y
_atom_site_fract_z
Be1 Be 0.0724 0.0818 0.2733
Be2 Be 0.4235 0.6937 0.9359
P1 P 0.0661 0.6968 0.9325
P2 P 0.4361 0.0867 0.2687
Pb1 Pb 0.2437 0.0927 0.8939
O1 O 0.0203 0.5880 0.7978
O2 O 0.0464 0.6429 0.3696
O3 O 0.0622 0.1793 0.4329
O4 O 0.2386 0.6692 0.9950
O5 O 0.2587 0.1019 0.2005
O6 O 0.4449 0.1846 0.4169
O7 O 0.4462 0.6393 0.3632
O8 O 0.4826 0.5732 0.8037
```

=====

3.
## KMg30BO31 (GGA-PBE)

Data for an optimized crystal structure of KMg30BO31.

## Properties
E above lowest polymorph   28 meV/atom
Magnetic moment   0.000 μB per atom
Crystal system   orthorhombic

The structure in CIF format:
```
data_KMg30BO31
_symmetry_space_group_name_H-M 'P m m 2'
_symmetry_Int_Tables_number 25
_cell_length_a 8.5379
_cell_length_b 8.6638
_cell_length_c 8.6163
_cell_angle_alpha 90.00
_cell_angle_beta 90.00
_cell_angle_gamma 90.00
loop_
_symmetry_equiv_pos_as_xyz
'x,y,z'
'-x,-y,z'
'-x,y,z'
'x,-y,z'
loop_
_atom_site_label
_atom_site_type_symbol
_atom_site_fract_x
_atom_site_fract_y
_atom_site_fract_z
K1 K 0.0000 0.0000 0.0000
Mg1 Mg 0.0000 0.0000 0.5005
Mg2 Mg 0.0000 0.2484 0.7501
Mg3 Mg 0.0000 0.2495 0.2497
Mg4 Mg 0.0000 0.5000 0.4950
Mg5 Mg 0.0000 0.5000 0.9968
Mg6 Mg 0.2476 0.5000 0.2536
Mg7 Mg 0.2494 0.0000 0.2517
Mg8 Mg 0.2502 0.2492 0.4995
Mg9 Mg 0.2531 0.0000 0.7483
Mg10 Mg 0.2628 0.2444 0.0002
Mg11 Mg 0.2685 0.5000 0.7454
Mg12 Mg 0.5000 0.0000 0.5014
Mg13 Mg 0.5000 0.0000 0.9974
Mg14 Mg 0.5000 0.2365 0.2487
Mg15 Mg 0.5000 0.2540 0.7529
Mg16 Mg 0.5000 0.5000 0.4947
B1 B 0.5000 0.5000 0.0652
O1 O 0.0000 0.0000 0.2740
O2 O 0.0000 0.0000 0.7266
O3 O 0.0000 0.2576 0.5006
O4 O 0.0000 0.2789 0.9997
O5 O 0.0000 0.5000 0.2442
O6 O 0.2494 0.2523 0.2479
O7 O 0.2502 0.5000 0.4932
O8 O 0.2516 0.2528 0.7519
O9 O 0.2532 0.0000 0.5000
O10 O 0.2717 0.0000 0.0001
O11 O 0.3389 0.5000 0.0104
O12 O 0.5000 0.0000 0.2585
O13 O 0.5000 0.0000 0.7423
O14 O 0.5000 0.2356 0.0046
O15 O 0.5000 0.2526 0.4930
O16 O 0.5000 0.5000 0.2357
O17 O 0.5000 0.5000 0.7232
```

=====

4.
## ScInO3 (GGA-PBE)

Data for an optimized crystal structure of ScInO3.

## Properties
Magnetic moment   0.000 μB per atom
Crystal system   hexagonal

The structure in CIF format:
```
data_ScInO3
_symmetry_space_group_name_H-M 'P 63/m m c'
_symmetry_Int_Tables_number 194
_symmetry_space_group_name_Hall '-P 6c 2c'
_cell_length_a 3.4664
_cell_length_b 3.4664
_cell_length_c 12.7487
_cell_angle_alpha 90.00
_cell_angle_beta 90.00
_cell_angle_gamma 120.00
loop_
_atom_site_label
_atom_site_type_symbol
_atom_site_fract_x
_atom_site_fract_y
_atom_site_fract_z
Sc1 Sc 0.3333 0.6667 0.2500
In1 In 0.0000 0.0000 0.0000
O1 O 0.0000 0.0000 0.2500
O2 O 0.3333 0.6667 0.0824
```

=====

5.
## BaHg2 (GGA-PBE)

Data for an optimized crystal structure of BaHg2.

## Properties
Crystal system   hexagonal

The structure in CIF format:
```
data_BaHg2
_symmetry_space_group_name_H-M 'P 6/m m m'
_symmetry_Int_Tables_number 191
_symmetry_space_group_name_Hall '-P 6 2'
_cell_length_a 5.2297
_cell_length_b 5.2297
_cell_length_c 4.3462
_cell_angle_alpha 90.00
_cell_angle_beta 90.00
_cell_angle_gamma 120.00
loop_
_atom_site_label
_atom_site_type_symbol
_atom_site_fract_x
_atom_site_fract_y
_atom_site_fract_z
Ba1 Ba 0.0000 0.0000 0.0000
Hg1 Hg 0.3333 0.6667 0.5000
```

=====

6.
## Ce2Se3O9 (GGA-PBE)

Data for an optimized crystal structure of Ce2Se3O9.

## Properties
Magnetic moment   0.143 μB per atom
Crystal system   orthorhombic

The structure in CIF format:
```
data_Ce2Se3O9
_symmetry_space_group_name_H-M 'P n m a'
_symmetry_Int_Tables_number 62
_cell_length_a 8.4905
_cell_length_b 14.3519
_cell_length_c 7.1102
_cell_angle_alpha 90.00
_cell_angle_beta 90.00
_cell_angle_gamma 90.00
loop_
_symmetry_equiv_pos_as_xyz
'x,y,z'
'-x,-y,-z'
'-x+1/2,-y,z+1/2'
'x+1/2,y,-z+1/2'
'x+1/2,-y+1/2,-z+1/2'
'-x+1/2,y+1/2,z+1/2'
'-x,y+1/2,-z'
'x,-y+1/2,z'
loop_
_atom_site_label
_atom_site_type_symbol
_atom_site_fract_x
_atom_site_fract_y
_atom_site_fract_z
Ce1 Ce 0.1984 0.0634 0.1797
Se1 Se 0.0457 0.7500 0.9087
Se2 Se 0.0470 0.1259 0.6795
O1 O 0.0579 0.6538 0.7605
O2 O 0.0728 0.0400 0.8521
O3 O 0.1208 0.5772 0.4111
O4 O 0.1559 0.2500 0.0646
O5 O 0.2001 0.0967 0.5299
```

=====

We obtain raw total energy values of -276.74 -369.43 -367.29 -72.83 -4.04 -368.92 eV for the cell shown for the records listed above, in that order.
We obtain formation energy from the elements values of -0.501 -2.789 -2.848 -2.909 -0.506 -2.252 eV/atom for the records listed above, in that order.